Record 1
YbInAg2: optimized geometry, meta-GGA r2SCAN.

Lattice parameters (Å, degrees): 6.8686 6.8686 6.8686 90.00 90.00 90.00
Last column: nearest neighbours and their distance in Å.
Space group Fm-3m (No. 225)
Asymmetric unit:
Yb  0.0000  0.0000  0.0000 [4 per cell]  8 Ag 2.97
In  0.0000  0.0000  0.5000 [4 per cell]  8 Ag 2.97
Ag  0.2500  0.2500  0.2500 [8 per cell]  4 In 2.97, 4 Yb 2.97

## Properties
Spin magnetization (μB per formula unit): 0.0
Mass density (Mg/m³): 10.32
Uncorrected energy (eV/cell): -413.6
Formation enthalpy at 0 K (meV per atom): -393

Record 2
Lu2AgIr: optimized geometry, meta-GGA r2SCAN.

Lattice parameters (Å, degrees): 6.8277 6.8277 6.8277 90.00 90.00 90.00
Last column: nearest neighbours and their distance in Å.
Space group Fm-3m (No. 225)
Asymmetric unit:
Lu  0.2500  0.2500  0.2500 [8 per cell]  4 Ir 2.96, 4 Ag 2.96
Ag  0.0000  0.0000  0.0000 [4 per cell]  8 Lu 2.96
Ir  0.0000  0.0000  0.5000 [4 per cell]  8 Lu 2.96

## Properties
Spin magnetization (μB per formula unit): 0.0
Mass density (Mg/m³): 13.56
Uncorrected energy (eV/cell): -611.9
Formation enthalpy at 0 K (meV per atom): -776

Record 3
Pm2AgIr: optimized geometry, meta-GGA r2SCAN.

Lattice parameters (Å, degrees): 7.1754 7.1754 7.1754 90.00 90.00 90.00
Last column: nearest neighbours and their distance in Å.
Space group Fm-3m (No. 225)
Asymmetric unit:
Pm  0.2500  0.2500  0.2500 [8 per cell]  4 Ir 3.11, 4 Ag 3.11
Ag  0.0000  0.0000  0.0000 [4 per cell]  8 Pm 3.11
Ir  0.0000  0.0000  0.5000 [4 per cell]  8 Pm 3.11

## Properties
Spin magnetization (μB per formula unit): 0.0
Mass density (Mg/m³): 10.61
Uncorrected energy (eV/cell): -540.1
Formation enthalpy at 0 K (meV per atom): -559

Record 4
Sc2AgIr: optimized geometry, meta-GGA r2SCAN.

Lattice parameters (Å, degrees): 6.6089 6.6089 6.6089 90.00 90.00 90.00
Last column: nearest neighbours and their distance in Å.
Space group Fm-3m (No. 225)
Asymmetric unit:
Sc  0.2500  0.2500  0.2500 [8 per cell]  4 Ir 2.86, 4 Ag 2.86
Ag  0.0000  0.0000  0.0000 [4 per cell]  8 Sc 2.86
Ir  0.0000  0.0000  0.5000 [4 per cell]  8 Sc 2.86

## Properties
Spin magnetization (μB per formula unit): 0.0
Mass density (Mg/m³): 8.97
Uncorrected energy (eV/cell): -397.5
Formation enthalpy at 0 K (meV per atom): -717

Record 5
Tm2AgIr: optimized geometry, meta-GGA r2SCAN.

Lattice parameters (Å, degrees): 6.8885 6.8885 6.8885 90.00 90.00 90.00
Last column: nearest neighbours and their distance in Å.
Space group Fm-3m (No. 225)
Asymmetric unit:
Tm  0.2500  0.2500  0.2500 [8 per cell]  4 Ir 2.98, 4 Ag 2.98
Ag  0.0000  0.0000  0.0000 [4 per cell]  8 Tm 2.98
Ir  0.0000  0.0000  0.5000 [4 per cell]  8 Tm 2.98

## Properties
Spin magnetization (μB per formula unit): 0.0
Mass density (Mg/m³): 12.96
Uncorrected energy (eV/cell): -587.8
Formation enthalpy at 0 K (meV per atom): -746

Record 6
Yb2AgIr: optimized geometry, meta-GGA r2SCAN.

Lattice parameters (Å, degrees): 6.8580 6.8580 6.8580 90.00 90.00 90.00
Last column: nearest neighbours and their distance in Å.
Space group Fm-3m (No. 225)
Asymmetric unit:
Yb  0.2500  0.2500  0.2500 [8 per cell]  4 Ir 2.97, 4 Ag 2.97
Ag  0.0000  0.0000  0.0000 [4 per cell]  8 Yb 2.97
Ir  0.0000  0.0000  0.5000 [4 per cell]  8 Yb 2.97

## Properties
Spin magnetization (μB per formula unit): 0.0
Mass density (Mg/m³): 13.31
Uncorrected energy (eV/cell): -599.4
Formation enthalpy at 0 K (meV per atom): -770